First-principles (PBE-GGA) data for a relaxed structure of MnSe2, as listed in the Materials Project database.

Summary:
Space-group type: Pa-3 (205)
Electronic total energy, eV/atom: -5.684

Unit cell a=6.1649 b=6.1649 c=6.1649 alpha=90.00 beta=90.00 gamma=90.00
Fractional coordinates of all 12 atoms:
Mn: 0.0000 0.0000 0.0000
Mn: 0.5000 0.0000 0.5000
Mn: 0.5000 0.5000 0.0000
Mn: 0.0000 0.5000 0.5000
Se: 0.3688 0.3688 0.3688
Se: 0.1312 0.6312 0.8688
Se: 0.8688 0.1312 0.6312
Se: 0.6312 0.8688 0.1312
Se: 0.6312 0.6312 0.6312
Se: 0.8688 0.3688 0.1312
Se: 0.1312 0.8688 0.3688
Se: 0.3688 0.1312 0.8688

***

First-principles (PBE-GGA) data for a relaxed structure of Sm3Au, as listed in the Materials Project database.

Summary:
Magnetic moment, μB per atom: 0.0001
Space-group type: P6_3/mmc (194)
Electronic total energy, eV/atom: -4.594

Unit cell a=7.0281 b=7.0281 c=5.2599 alpha=90.00 beta=90.00 gamma=120.00
Fractional coordinates of all 8 atoms:
Sm: 0.1772 0.3545 0.2500
Sm: 0.6455 0.8228 0.2500
Sm: 0.1772 0.8228 0.2500
Sm: 0.8228 0.6455 0.7500
Sm: 0.3545 0.1772 0.7500
Sm: 0.8228 0.1772 0.7500
Au: 0.3333 0.6667 0.7500
Au: 0.6667 0.3333 0.2500

***

First-principles (PBE-GGA) data for a relaxed structure of CaAlH5, as listed in the Materials Project database.

Summary:
Space-group type: P2_1/c (14)
Relative energy among the computed polymorphs, eV per atom: 0.0000
Electronic total energy, eV/atom: -3.526

Unit cell a=6.9260 b=8.3510 c=12.3963 alpha=51.33 beta=90.00 gamma=90.00
Fractional coordinates of all 56 atoms:
Ca: 0.2695 0.2135 0.5452
Ca: 0.7695 0.7865 0.9548
Ca: 0.7305 0.7865 0.4548
Ca: 0.2305 0.2135 0.0452
Ca: 0.2294 0.6546 0.6529
Ca: 0.7294 0.3454 0.8471
Ca: 0.7706 0.3454 0.3471
Ca: 0.2706 0.6546 0.1529
Al: 0.2787 0.7808 0.8450
Al: 0.7787 0.2192 0.6550
Al: 0.7213 0.2192 0.1550
Al: 0.2213 0.7808 0.3450
Al: 0.1912 0.1923 0.8112
Al: 0.6912 0.8077 0.6888
Al: 0.8088 0.8077 0.1888
Al: 0.3088 0.1923 0.3112
H: 0.1974 0.0007 0.9847
H: 0.6974 0.9993 0.5153
H: 0.8026 0.9993 0.0153
H: 0.3026 0.0007 0.4847
H: 0.2081 0.3879 0.6388
H: 0.7081 0.6121 0.8612
H: 0.7919 0.6121 0.3612
H: 0.2919 0.3879 0.1388
H: 0.1140 0.3066 0.3357
H: 0.6140 0.6934 0.1643
H: 0.8860 0.6934 0.6643
H: 0.3860 0.3066 0.8357
H: 0.1389 0.8845 0.7009
H: 0.6389 0.1155 0.7991
H: 0.8611 0.1155 0.2991
H: 0.3611 0.8845 0.2009
H: 0.4676 0.8881 0.7096
H: 0.9676 0.1119 0.7904
H: 0.5324 0.1119 0.2904
H: 0.0324 0.8881 0.2096
H: 0.0974 0.7199 0.9590
H: 0.5974 0.2801 0.5410
H: 0.9026 0.2801 0.0410
H: 0.4026 0.7199 0.4590
H: 0.4441 0.7308 0.9638
H: 0.9441 0.2692 0.5362
H: 0.5559 0.2692 0.0362
H: 0.0559 0.7308 0.4638
H: 0.0637 0.3480 0.8368
H: 0.5637 0.6520 0.6632
H: 0.9363 0.6520 0.1632
H: 0.4363 0.3480 0.3368
H: 0.2893 0.5569 0.8708
H: 0.7893 0.4431 0.6292
H: 0.7107 0.4431 0.1292
H: 0.2107 0.5569 0.3708
H: 0.3054 0.0436 0.7780
H: 0.8054 0.9564 0.7220
H: 0.6946 0.9564 0.2220
H: 0.1946 0.0436 0.2780